Entry from the Materials Project database: an optimized crystal structure of Pr3CCl5 (PBE).

Properties
Space-group type   C2/c, No. 15
DFT total energy   -5.466 eV per atom
Energy of formation from the pure elements   -2.16 eV per atom

POSCAR file:
```
Pr3CCl5
1.0
7.066 -4.403 0.000
7.066 4.403 0.000
-2.044 0.000 15.873
Pr C Cl
12 4 20
direct
0.043 0.214 0.438
0.156 0.410 0.798
0.210 0.504 0.046
0.214 0.043 0.938
0.410 0.156 0.298
0.496 0.790 0.454
0.504 0.210 0.546
0.590 0.844 0.702
0.786 0.957 0.062
0.790 0.496 0.954
0.844 0.590 0.202
0.957 0.786 0.562
0.109 0.350 0.930
0.350 0.109 0.430
0.650 0.891 0.570
0.891 0.650 0.070
0.037 0.221 0.258
0.118 0.848 0.421
0.123 0.402 0.593
0.152 0.882 0.079
0.217 0.511 0.235
0.221 0.037 0.758
0.347 0.595 0.901
0.402 0.123 0.093
0.405 0.653 0.599
0.489 0.783 0.265
0.511 0.217 0.735
0.595 0.347 0.401
0.598 0.877 0.907
0.653 0.405 0.099
0.779 0.963 0.242
0.783 0.489 0.765
0.848 0.118 0.921
0.877 0.598 0.407
0.882 0.152 0.579
0.963 0.779 0.742
```